1.
Compound: Ba2NdV3O11
Source: the Materials Project database
Functional: PBE+U
Structure: optimized geometry

a b c (Å): 7.858 12.551 11.445
angles (deg): 103.15 90.00 90.00
Fractional coordinates of all 68 atoms:
Ba1 0.274 0.765 0.941
Ba2 0.726 0.235 0.059
Ba3 0.774 0.235 0.559
Ba4 0.226 0.765 0.441
Ba5 0.747 0.554 0.889
Ba6 0.253 0.446 0.111
Ba7 0.247 0.446 0.611
Ba8 0.753 0.554 0.389
Nd1 0.501 0.998 0.711
Nd2 0.499 0.002 0.289
Nd3 0.001 0.002 0.789
Nd4 0.999 0.998 0.211
V1 0.751 0.904 0.976
V2 0.249 0.096 0.024
V3 0.251 0.096 0.524
V4 0.749 0.904 0.476
V5 0.520 0.683 0.674
V6 0.480 0.317 0.326
V7 0.020 0.317 0.826
V8 0.980 0.683 0.174
V9 0.981 0.686 0.670
V10 0.019 0.314 0.330
V11 0.481 0.314 0.830
V12 0.519 0.686 0.170
O1 0.442 0.815 0.719
O2 0.558 0.185 0.281
O3 0.942 0.185 0.781
O4 0.058 0.815 0.219
O5 0.552 0.181 0.810
O6 0.448 0.819 0.190
O7 0.052 0.819 0.690
O8 0.948 0.181 0.310
O9 0.750 0.667 0.667
O10 0.250 0.333 0.333
O11 0.250 0.333 0.833
O12 0.750 0.667 0.167
O13 0.945 0.376 0.966
O14 0.055 0.624 0.034
O15 0.445 0.624 0.534
O16 0.555 0.376 0.466
O17 0.942 0.393 0.732
O18 0.058 0.607 0.268
O19 0.442 0.607 0.768
O20 0.558 0.393 0.232
O21 0.785 0.986 0.622
O22 0.215 0.014 0.378
O23 0.285 0.014 0.878
O24 0.715 0.986 0.122
O25 0.970 0.882 0.973
O26 0.030 0.118 0.027
O27 0.470 0.118 0.527
O28 0.530 0.882 0.473
O29 0.638 0.785 0.946
O30 0.362 0.215 0.054
O31 0.138 0.215 0.554
O32 0.862 0.785 0.446
O33 0.717 0.983 0.867
O34 0.283 0.017 0.133
O35 0.217 0.017 0.633
O36 0.783 0.983 0.367
O37 0.558 0.371 0.719
O38 0.442 0.629 0.281
O39 0.058 0.629 0.781
O40 0.942 0.371 0.219
O41 0.562 0.389 0.962
O42 0.438 0.611 0.038
O43 0.062 0.611 0.538
O44 0.938 0.389 0.462

---

2.
Compound: BaNdV4O12
Source: the Materials Project database
Functional: PBE+U
Structure: optimized geometry

a b c (Å): 5.407 5.407 7.598
angles (deg): 90.00 90.00 90.00
Fractional coordinates of all 18 atoms:
Ba1 0.500 0.500 0.000
Nd1 0.000 0.000 0.500
V1 0.000 0.500 0.748
V2 0.000 0.500 0.252
V3 0.500 0.000 0.748
V4 0.500 0.000 0.252
O1 0.245 0.245 0.260
O2 0.245 0.245 0.740
O3 0.755 0.755 0.740
O4 0.755 0.755 0.260
O5 0.755 0.245 0.740
O6 0.755 0.245 0.260
O7 0.245 0.755 0.740
O8 0.245 0.755 0.260
O9 0.000 0.500 0.500
O10 0.000 0.500 0.000
O11 0.500 0.000 0.500
O12 0.500 0.000 0.000

---

For reference, energy with MP2020 corrections by record: -8.308 -8.286 eV/atom.
For reference, mass density by record: 4.518 5.064 g/cm³.